# Ta6Br12ClO15, relaxed, DFT PBE
# total moment: 0.0298 μB/atom
# DFT formation energy: -24.9 eV/f.u.
data_Ta6Br12ClO15
_chemical_formula_sum 'Ta12 Br24 Cl2 O30'
_cell_length_a 9.660
_cell_length_b 9.885
_cell_length_c 20.504
_cell_angle_alpha 80.97
_cell_angle_beta 79.93
_cell_angle_gamma 78.34
_symmetry_space_group_name_H-M 'P 1'
_symmetry_Int_Tables_number 1
loop_
_symmetry_equiv_pos_as_xyz
'x,y,z'
loop_
_atom_site_label
_atom_site_type_symbol
_atom_site_fract_x
_atom_site_fract_y
_atom_site_fract_z
Ta1 Ta 0.274 0.878 0.599
Ta2 Ta 0.726 0.122 0.401
Ta3 Ta 0.331 0.772 0.998
Ta4 Ta 0.669 0.228 0.002
Ta5 Ta 0.689 0.922 0.873
Ta6 Ta 0.311 0.078 0.127
Ta7 Ta 0.678 0.712 0.488
Ta8 Ta 0.322 0.288 0.512
Ta9 Ta 0.655 0.019 0.612
Ta10 Ta 0.345 0.981 0.388
Ta11 Ta 0.298 0.199 0.919
Ta12 Ta 0.702 0.801 0.081
Br1 Br 0.454 0.650 0.572
Br2 Br 0.546 0.350 0.428
Br3 Br 0.786 0.772 0.586
Br4 Br 0.214 0.228 0.414
Br5 Br 0.444 0.903 0.682
Br6 Br 0.556 0.097 0.318
Br7 Br 0.526 0.740 0.388
Br8 Br 0.474 0.260 0.612
Br9 Br 0.843 0.861 0.403
Br10 Br 0.157 0.139 0.597
Br11 Br 0.820 0.134 0.512
Br12 Br 0.180 0.866 0.488
Br13 Br 0.513 0.744 0.887
Br14 Br 0.487 0.256 0.113
Br15 Br 0.491 0.112 0.820
Br16 Br 0.509 0.888 0.180
Br17 Br 0.181 0.979 0.928
Br18 Br 0.819 0.021 0.072
Br19 Br 0.199 0.867 0.109
Br20 Br 0.801 0.133 0.891
Br21 Br 0.532 0.630 0.067
Br22 Br 0.468 0.370 0.933
Br23 Br 0.167 0.238 0.039
Br24 Br 0.833 0.762 0.961
Cl1 Cl 0.091 0.458 0.673
Cl2 Cl 0.909 0.542 0.327
O1 O 0.143 0.810 0.653
O2 O 0.857 0.190 0.347
O3 O 0.766 0.543 0.486
O4 O 0.234 0.457 0.514
O5 O 0.742 0.040 0.675
O6 O 0.258 0.960 0.325
O7 O 0.233 0.647 0.994
O8 O 0.767 0.353 0.006
O9 O 0.795 0.870 0.802
O10 O 0.205 0.130 0.198
O11 O 0.180 0.311 0.873
O12 O 0.820 0.689 0.127
O13 O 0.864 0.536 0.811
O14 O 0.136 0.464 0.189
O15 O 0.803 0.359 0.173
O16 O 0.197 0.641 0.827
O17 O 0.699 0.448 0.719
O18 O 0.301 0.552 0.281
O19 O 0.086 0.982 0.776
O20 O 0.914 0.018 0.224
O21 O 0.287 0.568 0.791
O22 O 0.713 0.432 0.209
O23 O 0.206 0.644 0.314
O24 O 0.794 0.356 0.686
O25 O 0.922 0.889 0.233
O26 O 0.078 0.111 0.767
O27 O 0.879 0.407 0.635
O28 O 0.121 0.593 0.365
O29 O 0.101 0.501 0.133
O30 O 0.899 0.499 0.867

# PbBrCl, relaxed, DFT PBE
# DFT formation energy: -3.7 eV/f.u.
# energy with MP2020 corrections: -3.633 eV per atom
# energy above the most stable polymorph in this dataset: 0 meV/atom
data_PbBrCl
_chemical_formula_sum 'Pb4 Br4 Cl4'
_cell_length_a 4.649
_cell_length_b 7.935
_cell_length_c 9.473
_cell_angle_alpha 90.00
_cell_angle_beta 90.00
_cell_angle_gamma 90.00
_symmetry_space_group_name_H-M 'P 1'
_symmetry_Int_Tables_number 1
loop_
_symmetry_equiv_pos_as_xyz
'x,y,z'
loop_
_atom_site_label
_atom_site_type_symbol
_atom_site_fract_x
_atom_site_fract_y
_atom_site_fract_z
Pb1 Pb 0.250 0.748 0.908
Pb2 Pb 0.750 0.252 0.092
Pb3 Pb 0.250 0.248 0.592
Pb4 Pb 0.750 0.752 0.408
Br1 Br 0.750 0.477 0.837
Br2 Br 0.250 0.023 0.337
Br3 Br 0.750 0.977 0.663
Br4 Br 0.250 0.523 0.163
Cl1 Cl 0.750 0.359 0.429
Cl2 Cl 0.250 0.141 0.929
Cl3 Cl 0.750 0.859 0.071
Cl4 Cl 0.250 0.641 0.571

# PbBrCl, relaxed, DFT PBE
# total moment: 0.0000 μB/atom
# DFT formation energy: -3.6 eV/f.u.
# energy with MP2020 corrections: -3.590 eV per atom
# energy above the most stable polymorph in this dataset: 43 meV/atom
data_PbBrCl
_chemical_formula_sum 'Pb2 Br2 Cl2'
_cell_length_a 4.703
_cell_length_b 4.703
_cell_length_c 7.902
_cell_angle_alpha 90.00
_cell_angle_beta 90.00
_cell_angle_gamma 90.00
_symmetry_space_group_name_H-M 'P 1'
_symmetry_Int_Tables_number 1
loop_
_symmetry_equiv_pos_as_xyz
'x,y,z'
loop_
_atom_site_label
_atom_site_type_symbol
_atom_site_fract_x
_atom_site_fract_y
_atom_site_fract_z
Pb1 Pb 0.500 0.000 0.767
Pb2 Pb 0.000 0.500 0.233
Br1 Br 0.000 0.500 0.635
Br2 Br 0.500 0.000 0.365
Cl1 Cl 0.000 0.000 0.000
Cl2 Cl 0.500 0.500 0.000

# PrBrCl2, relaxed, DFT PBE
# DFT formation energy: -9.9 eV/f.u.
# energy with MP2020 corrections: -4.999 eV per atom
data_PrBrCl2
_chemical_formula_sum 'Pr2 Br2 Cl4'
_cell_length_a 4.340
_cell_length_b 7.675
_cell_length_c 7.759
_cell_angle_alpha 60.99
_cell_angle_beta 90.00
_cell_angle_gamma 90.00
_symmetry_space_group_name_H-M 'P 1'
_symmetry_Int_Tables_number 1
loop_
_symmetry_equiv_pos_as_xyz
'x,y,z'
loop_
_atom_site_label
_atom_site_type_symbol
_atom_site_fract_x
_atom_site_fract_y
_atom_site_fract_z
Pr1 Pr 0.000 0.339 0.330
Pr2 Pr 0.500 0.669 0.657
Br1 Br 0.000 0.373 0.914
Br2 Br 0.000 0.918 0.711
Cl1 Cl 0.000 0.698 0.391
Cl2 Cl 0.500 0.600 0.091
Cl3 Cl 0.500 0.085 0.313
Cl4 Cl 0.500 0.318 0.593

# Rb2SBrCl6, relaxed, DFT PBE
# total moment: 0.0072 μB/atom
# DFT formation energy: -11.6 eV/f.u.
# energy with MP2020 corrections: -3.046 eV per atom
data_Rb2SBrCl6
_chemical_formula_sum 'Rb2 S1 Br1 Cl6'
_cell_length_a 7.548
_cell_length_b 7.548
_cell_length_c 7.548
_cell_angle_alpha 60.00
_cell_angle_beta 60.00
_cell_angle_gamma 60.00
_symmetry_space_group_name_H-M 'P 1'
_symmetry_Int_Tables_number 1
loop_
_symmetry_equiv_pos_as_xyz
'x,y,z'
loop_
_atom_site_label
_atom_site_type_symbol
_atom_site_fract_x
_atom_site_fract_y
_atom_site_fract_z
Rb1 Rb 0.250 0.250 0.250
Rb2 Rb 0.750 0.750 0.750
S1 S 0.000 0.000 0.000
Br1 Br 0.500 0.500 0.500
Cl1 Cl 0.219 0.781 0.781
Cl2 Cl 0.219 0.781 0.219
Cl3 Cl 0.781 0.219 0.781
Cl4 Cl 0.781 0.781 0.219
Cl5 Cl 0.219 0.219 0.781
Cl6 Cl 0.781 0.219 0.219

# Re3Br8Cl, relaxed, DFT PBE
# DFT formation energy: -5.6 eV/f.u.
# energy with MP2020 corrections: -4.823 eV per atom
data_Re3Br8Cl
_chemical_formula_sum 'Re6 Br16 Cl2'
_cell_length_a 9.807
_cell_length_b 9.807
_cell_length_c 9.774
_cell_angle_alpha 67.66
_cell_angle_beta 67.66
_cell_angle_gamma 67.66
_symmetry_space_group_name_H-M 'P 1'
_symmetry_Int_Tables_number 1
loop_
_symmetry_equiv_pos_as_xyz
'x,y,z'
loop_
_atom_site_label
_atom_site_type_symbol
_atom_site_fract_x
_atom_site_fract_y
_atom_site_fract_z
Re1 Re 0.649 0.875 0.148
Re2 Re 0.875 0.649 0.148
Re3 Re 0.352 0.126 0.851
Re4 Re 0.126 0.352 0.851
Re5 Re 0.648 0.648 0.375
Re6 Re 0.352 0.352 0.625
Br1 Br 0.723 0.039 0.225
Br2 Br 0.039 0.723 0.225
Br3 Br 0.278 0.961 0.775
Br4 Br 0.961 0.278 0.775
Br5 Br 0.507 0.827 0.005
Br6 Br 0.827 0.507 0.005
Br7 Br 0.495 0.174 0.992
Br8 Br 0.174 0.495 0.992
Br9 Br 0.879 0.879 0.907
Br10 Br 0.122 0.122 0.091
Br11 Br 0.724 0.724 0.540
Br12 Br 0.277 0.277 0.459
Br13 Br 0.506 0.506 0.326
Br14 Br 0.493 0.493 0.674
Br15 Br 0.408 0.879 0.379
Br16 Br 0.879 0.408 0.379
Cl1 Cl 0.574 0.130 0.627
Cl2 Cl 0.130 0.574 0.627

# SrBrCl, relaxed, DFT PBE
# total moment: 0.0001 μB/atom
# DFT formation energy: -6.2 eV/f.u.
# energy with MP2020 corrections: -3.798 eV per atom
data_SrBrCl
_chemical_formula_sum 'Sr1 Br1 Cl1'
_cell_length_a 5.123
_cell_length_b 5.123
_cell_length_c 5.123
_cell_angle_alpha 60.00
_cell_angle_beta 60.00
_cell_angle_gamma 60.00
_symmetry_space_group_name_H-M 'P 1'
_symmetry_Int_Tables_number 1
loop_
_symmetry_equiv_pos_as_xyz
'x,y,z'
loop_
_atom_site_label
_atom_site_type_symbol
_atom_site_fract_x
_atom_site_fract_y
_atom_site_fract_z
Sr1 Sr 0.000 0.000 0.000
Br1 Br 0.500 0.500 0.500
Cl1 Cl 0.750 0.750 0.750

# SrBrCl, relaxed, DFT PBE
# total moment: 0.0000 μB/atom
# DFT formation energy: -7.5 eV/f.u.
# energy with MP2020 corrections: -4.210 eV per atom
data_SrBrCl
_chemical_formula_sum 'Sr4 Br4 Cl4'
_cell_length_a 4.835
_cell_length_b 7.732
_cell_length_c 10.073
_cell_angle_alpha 90.00
_cell_angle_beta 90.00
_cell_angle_gamma 90.00
_symmetry_space_group_name_H-M 'P 1'
_symmetry_Int_Tables_number 1
loop_
_symmetry_equiv_pos_as_xyz
'x,y,z'
loop_
_atom_site_label
_atom_site_type_symbol
_atom_site_fract_x
_atom_site_fract_y
_atom_site_fract_z
Sr1 Sr 0.250 0.727 0.918
Sr2 Sr 0.750 0.273 0.082
Sr3 Sr 0.750 0.773 0.418
Sr4 Sr 0.250 0.227 0.582
Br1 Br 0.250 0.636 0.604
Br2 Br 0.750 0.364 0.396
Br3 Br 0.750 0.864 0.104
Br4 Br 0.250 0.136 0.896
Cl1 Cl 0.250 0.484 0.141
Cl2 Cl 0.750 0.516 0.859
Cl3 Cl 0.750 0.016 0.641
Cl4 Cl 0.250 0.984 0.359

Number 3 is which compound?
PbBrCl

Which of these has the lowest DFT formation energy?
Ta6Br12ClO15